CoBi2SO7: optimized geometry, PBE+U.

Properties
Energy of formation from the pure elements = -1.75 eV per atom
Crystal system = orthorhombic
Density = 6.48 Mg/m³
Polymorph energy (0 for the lowest one) = 4 meV/atom
Calculated volume = 159 Å³/f.u.

The structure in POSCAR format:
```
CoBi2SO7
1.0
7.2923 0.0000 0.0000
0.0000 16.0326 0.0000
0.0000 0.0000 5.4430
Co Bi S O
4 8 4 28
direct
0.0539 0.1733 0.2500
0.0539 0.3267 0.7500
0.9461 0.6733 0.2500
0.9461 0.8267 0.7500
0.1683 0.0188 0.7500
0.1683 0.4812 0.2500
0.2256 0.6591 0.7500
0.2256 0.8409 0.2500
0.7744 0.1591 0.7500
0.7744 0.3409 0.2500
0.8317 0.5188 0.7500
0.8317 0.9812 0.2500
0.4063 0.1099 0.2500
0.4063 0.3901 0.7500
0.5937 0.6099 0.2500
0.5937 0.8901 0.7500
0.0452 0.5817 0.5041
0.0452 0.5817 0.9959
0.0452 0.9183 0.0041
0.0452 0.9183 0.4959
0.0790 0.7500 0.0000
0.0790 0.7500 0.5000
0.3114 0.1471 0.0301
0.3114 0.1471 0.4699
0.3114 0.3529 0.5301
0.3114 0.3529 0.9699
0.3841 0.0176 0.2500
0.3841 0.4824 0.7500
0.3953 0.6329 0.2500
0.3953 0.8671 0.7500
0.6047 0.1329 0.2500
0.6047 0.3671 0.7500
0.6159 0.5176 0.2500
0.6159 0.9824 0.7500
0.6886 0.6471 0.0301
0.6886 0.6471 0.4699
0.6886 0.8529 0.5301
0.6886 0.8529 0.9699
0.9210 0.2500 0.0000
0.9210 0.2500 0.5000
0.9548 0.0817 0.5041
0.9548 0.0817 0.9959
0.9548 0.4183 0.0041
0.9548 0.4183 0.4959
```